## RbPH2O4 (PBE-GGA)

Data for a relaxed RbPH2O4 crystal.

a b c (Å): 8.361 6.534 9.424
angles (deg): 90.00 112.56 90.00
Space group P2_1/c (No. 14)
One atom of each set of equivalent atoms:
1 Rb 0.243 0.237 0.221 [4 per cell]
2 P 0.232 0.709 0.986 [4 per cell]
3 H 0.116 0.716 0.660 [4 per cell]
4 H 0.439 0.577 0.538 [4 per cell]
5 O 0.081 0.747 0.545 [4 per cell]
6 O 0.141 0.642 0.820 [4 per cell]
7 O 0.314 0.558 0.486 [4 per cell]
8 O 0.376 0.582 0.096 [4 per cell]

Values from the calculation:
The calculation puts the magnetization at 0.001 μB/f.u. The calculation puts the energy of formation from the pure elements at -2.115 eV/atom. The excess energy over the best structure of this formula in the dataset is 74 meV per atom. The calculation puts the total energy at -47.14 eV/f.u.